(1)
# Fe5O2F8 | Materials Project | PBE with a Hubbard U | optimized geometry
data_Fe5O2F8
_chemical_formula_sum 'Fe20 O8 F32'
_space_group_name_H-M_alt 'C 1 2 1'
_space_group_IT_number 5
_cell_length_a 6.842
_cell_length_b 6.778
_cell_length_c 16.028
_cell_angle_alpha 90.00
_cell_angle_beta 90.32
_cell_angle_gamma 90.00
loop_
_space_group_symop_operation_xyz
'x,y,z'
'-x,y,-z'
'x+1/2,y+1/2,z'
'-x+1/2,y+1/2,-z'
loop_
_atom_site_label
_atom_site_fract_x
_atom_site_fract_y
_atom_site_fract_z
Fe1 0.000 0.000 0.000
Fe2 0.000 0.016 0.401
Fe3 0.000 0.464 0.500
Fe4 0.010 0.494 0.308
Fe5 0.013 0.999 0.193
Fe6 0.029 0.500 0.899
O1 0.003 0.308 0.598
O2 0.175 0.999 0.096
F1 0.000 0.296 0.000
F2 0.000 0.703 0.000
F3 0.001 0.704 0.799
F4 0.002 0.292 0.802
F5 0.002 0.711 0.404
F6 0.190 0.001 0.717
F7 0.197 0.001 0.287
F8 0.205 0.999 0.902
F9 0.208 0.005 0.500
# Magnetization   88.00 μB/cell
# VASP energy   -5.74 eV per atom


(2)
# Fe10O19F | Materials Project | PBE with a Hubbard U | optimized geometry
data_Fe10O19F
_chemical_formula_sum 'Fe10 O19 F1'
_space_group_name_H-M_alt 'P 1'
_space_group_IT_number 1
_cell_length_a 4.631
_cell_length_b 5.499
_cell_length_c 12.733
_cell_angle_alpha 101.36
_cell_angle_beta 90.23
_cell_angle_gamma 90.68
loop_
_space_group_symop_operation_xyz
'x,y,z'
loop_
_atom_site_label
_atom_site_fract_x
_atom_site_fract_y
_atom_site_fract_z
Fe1 0.000 0.000 0.000
Fe2 0.001 0.198 0.799
Fe3 0.005 0.797 0.199
Fe4 0.006 0.601 0.400
Fe5 0.024 0.386 0.596
Fe6 0.490 0.703 0.805
Fe7 0.501 0.906 0.598
Fe8 0.502 0.498 0.000
Fe9 0.503 0.299 0.199
Fe10 0.512 0.098 0.396
O1 0.191 0.249 0.938
O2 0.192 0.052 0.138
O3 0.196 0.850 0.336
O4 0.197 0.452 0.737
O5 0.201 0.652 0.538
O6 0.307 0.751 0.944
O7 0.315 0.550 0.137
O8 0.316 0.949 0.736
O9 0.318 0.351 0.336
O10 0.319 0.152 0.531
O11 0.688 0.447 0.864
O12 0.693 0.047 0.260
O13 0.693 0.249 0.061
O14 0.698 0.848 0.460
O15 0.810 0.942 0.861
O16 0.811 0.748 0.062
O17 0.814 0.144 0.660
O18 0.816 0.546 0.261
O19 0.819 0.348 0.461
F1 0.703 0.638 0.660
# Magnetization   41.08 μB/cell
# VASP energy   -6.17 eV per atom


(3)
# Fe3O5F | Materials Project | PBE with a Hubbard U | optimized geometry
data_Fe3O5F
_chemical_formula_sum 'Fe6 O10 F2'
_space_group_name_H-M_alt 'P 1'
_space_group_IT_number 1
_cell_length_a 5.541
_cell_length_b 5.558
_cell_length_c 7.202
_cell_angle_alpha 71.77
_cell_angle_beta 71.48
_cell_angle_gamma 72.58
loop_
_space_group_symop_operation_xyz
'x,y,z'
loop_
_atom_site_label
_atom_site_fract_x
_atom_site_fract_y
_atom_site_fract_z
Fe1 0.000 0.000 0.000
Fe2 0.011 0.019 0.496
Fe3 0.331 0.331 0.157
Fe4 0.363 0.310 0.676
Fe5 0.662 0.667 0.839
Fe6 0.683 0.685 0.337
O1 0.111 0.096 0.709
O2 0.226 0.220 0.966
O3 0.304 0.686 0.007
O4 0.369 0.983 0.336
O5 0.577 0.563 0.627
O6 0.661 0.017 0.664
O7 0.688 0.309 0.002
O8 0.775 0.776 0.039
O9 0.912 0.916 0.291
O10 0.985 0.377 0.331
F1 0.047 0.630 0.663
F2 0.444 0.437 0.371
# Magnetization   1.11 μB/cell
# VASP energy   -6.13 eV per atom


(4)
# Fe2OF3 | Materials Project | PBE with a Hubbard U | optimized geometry
data_Fe2OF3
_chemical_formula_sum 'Fe8 O4 F12'
_space_group_name_H-M_alt 'P n m a'
_space_group_IT_number 62
_cell_length_a 10.528
_cell_length_b 6.052
_cell_length_c 4.940
_cell_angle_alpha 90.00
_cell_angle_beta 90.00
_cell_angle_gamma 90.00
loop_
_space_group_symop_operation_xyz
'x,y,z'
'-x,-y,-z'
'-x+1/2,-y,z+1/2'
'x+1/2,y,-z+1/2'
'x+1/2,-y+1/2,-z+1/2'
'-x+1/2,y+1/2,z+1/2'
'-x,y+1/2,-z'
'x,-y+1/2,z'
loop_
_atom_site_label
_atom_site_fract_x
_atom_site_fract_y
_atom_site_fract_z
Fe1 0.000 0.000 0.000
Fe2 0.240 0.250 0.488
O1 0.076 0.750 0.831
F1 0.085 0.250 0.761
F2 0.163 0.007 0.233
# Magnetization   4.00 μB/cell
# VASP energy   -5.77 eV per atom


(5)
# Fe10O11F9 | Materials Project | PBE with a Hubbard U | optimized geometry
data_Fe10O11F9
_chemical_formula_sum 'Fe10 O11 F9'
_space_group_name_H-M_alt 'P 1'
_space_group_IT_number 1
_cell_length_a 4.728
_cell_length_b 4.741
_cell_length_c 15.371
_cell_angle_alpha 89.84
_cell_angle_beta 89.86
_cell_angle_gamma 87.76
loop_
_space_group_symop_operation_xyz
'x,y,z'
loop_
_atom_site_label
_atom_site_fract_x
_atom_site_fract_y
_atom_site_fract_z
Fe1 0.000 0.000 0.000
Fe2 0.000 0.005 0.200
Fe3 0.021 0.030 0.800
Fe4 0.038 0.992 0.397
Fe5 0.056 0.006 0.603
Fe6 0.522 0.463 0.692
Fe7 0.544 0.502 0.500
Fe8 0.574 0.518 0.308
Fe9 0.581 0.504 0.103
Fe10 0.588 0.518 0.897
O1 0.225 0.187 0.699
O2 0.347 0.690 0.594
O3 0.352 0.697 0.407
O4 0.725 0.320 0.795
O5 0.733 0.322 0.205
O6 0.737 0.301 0.592
O7 0.737 0.323 0.000
O8 0.742 0.308 0.408
O9 0.843 0.817 0.101
O10 0.850 0.824 0.897
O11 0.852 0.817 0.303
F1 0.236 0.189 0.498
F2 0.237 0.208 0.102
F3 0.237 0.214 0.900
F4 0.240 0.204 0.301
F5 0.337 0.706 0.798
F6 0.343 0.713 0.202
F7 0.345 0.715 0.000
F8 0.838 0.805 0.698
F9 0.856 0.810 0.501
# Magnetization   49.00 μB/cell
# VASP energy   -6.03 eV per atom


(6)
# Fe5O2F8 | Materials Project | PBE with a Hubbard U | optimized geometry
data_Fe5O2F8
_chemical_formula_sum 'Fe10 O4 F16'
_space_group_name_H-M_alt 'P 1'
_space_group_IT_number 1
_cell_length_a 4.804
_cell_length_b 5.801
_cell_length_c 13.545
_cell_angle_alpha 78.84
_cell_angle_beta 89.15
_cell_angle_gamma 88.86
loop_
_space_group_symop_operation_xyz
'x,y,z'
loop_
_atom_site_label
_atom_site_fract_x
_atom_site_fract_y
_atom_site_fract_z
Fe1 0.000 0.000 0.000
Fe2 0.001 0.402 0.802
Fe3 0.017 0.597 0.202
Fe4 0.454 0.926 0.809
Fe5 0.462 0.526 0.006
Fe6 0.480 0.301 0.614
Fe7 0.488 0.121 0.199
Fe8 0.511 0.714 0.407
Fe9 0.971 0.809 0.594
Fe10 0.980 0.195 0.407
O1 0.293 0.441 0.139
O2 0.295 0.212 0.751
O3 0.299 0.817 0.943
O4 0.798 0.886 0.473
F1 0.175 0.916 0.150
F2 0.184 0.534 0.339
F3 0.193 0.110 0.550
F4 0.194 0.735 0.735
F5 0.198 0.330 0.948
F6 0.283 0.624 0.546
F7 0.300 0.031 0.340
F8 0.677 0.385 0.466
F9 0.688 0.585 0.868
F10 0.692 0.204 0.057
F11 0.697 0.967 0.676
F12 0.705 0.785 0.257
F13 0.780 0.080 0.864
F14 0.788 0.679 0.070
F15 0.796 0.504 0.659
F16 0.805 0.305 0.259
# Magnetization   44.00 μB/cell
# VASP energy   -5.75 eV per atom


(7)
# Fe3O2F4 | Materials Project | PBE with a Hubbard U | optimized geometry
data_Fe3O2F4
_chemical_formula_sum 'Fe6 O4 F8'
_space_group_name_H-M_alt 'P 1 21 1'
_space_group_IT_number 4
_cell_length_a 5.749
_cell_length_b 4.812
_cell_length_c 7.918
_cell_angle_alpha 90.00
_cell_angle_beta 93.45
_cell_angle_gamma 90.00
loop_
_space_group_symop_operation_xyz
'x,y,z'
'-x,y+1/2,-z'
loop_
_atom_site_label
_atom_site_fract_x
_atom_site_fract_y
_atom_site_fract_z
Fe1 0.068 0.000 0.355
Fe2 0.280 0.494 0.002
Fe3 0.406 0.035 0.675
O1 0.111 0.208 0.561
O2 0.464 0.211 0.908
F1 0.042 0.817 0.100
F2 0.211 0.695 0.773
F3 0.268 0.303 0.230
F4 0.372 0.815 0.432
# Magnetization   28.00 μB/cell
# VASP energy   -5.84 eV per atom


(8)
# Fe3O2F4 | Materials Project | PBE with a Hubbard U | optimized geometry
data_Fe3O2F4
_chemical_formula_sum 'Fe6 O4 F8'
_space_group_name_H-M_alt 'P 1'
_space_group_IT_number 1
_cell_length_a 4.830
_cell_length_b 5.782
_cell_length_c 7.815
_cell_angle_alpha 84.30
_cell_angle_beta 87.62
_cell_angle_gamma 87.53
loop_
_space_group_symop_operation_xyz
'x,y,z'
loop_
_atom_site_label
_atom_site_fract_x
_atom_site_fract_y
_atom_site_fract_z
Fe1 0.000 0.000 0.000
Fe2 0.018 0.642 0.328
Fe3 0.042 0.291 0.662
Fe4 0.499 0.824 0.673
Fe5 0.520 0.147 0.326
Fe6 0.540 0.463 0.990
O1 0.197 0.361 0.434
O2 0.219 0.006 0.769
O3 0.837 0.276 0.883
O4 0.840 0.927 0.228
F1 0.227 0.673 0.092
F2 0.312 0.171 0.095
F3 0.321 0.523 0.753
F4 0.324 0.835 0.441
F5 0.717 0.096 0.569
F6 0.720 0.785 0.887
F7 0.728 0.451 0.234
F8 0.806 0.620 0.568
# Magnetization   28.00 μB/cell
# VASP energy   -5.84 eV per atom